Model i:
The following is a DFT calculation (PBE) of an optimized crystal structure of MgTl2Fe2S4.

**V**: 208 Å³/cell

a b c (Å): 4.922 6.884 7.605
angles (deg): 118.18 90.00 110.94
Positions (direct):
Tl 0.700 0.400 0.560
Tl 0.342 0.684 0.279
Fe 0.728 0.966 0.018
Fe 0.238 0.966 0.018
S 0.965 0.930 0.753
S 0.014 0.029 0.275
S 0.315 0.631 0.890
S 0.652 0.305 0.137
Mg 0.544 0.088 0.756

Model ii:
The following is a DFT calculation (PBE) of an optimized crystal structure of MgTl2Fe2S4.

**V**: 205 Å³/cell

a b c (Å): 5.014 6.764 7.438
angles (deg): 116.62 90.02 111.72
Positions (direct):
S 0.341 0.683 0.867
S 0.664 0.328 0.112
S 0.002 0.004 0.238
S 0.975 0.952 0.744
Mg 0.193 0.386 0.988
Tl 0.343 0.688 0.477
Tl 0.642 0.286 0.506
Fe 0.251 0.003 0.007
Fe 0.752 0.003 0.006

Stability, lowest: model i

Model i:
The following is a DFT calculation (PBE) of an optimized crystal structure of MgTlV4FeS8.

**V**: 262 Å³/cell

a b c (Å): 3.480 8.824 8.955
angles (deg): 103.63 101.21 90.00
Positions (direct):
V 0.668 0.518 0.338
V 0.301 0.168 0.603
V 0.359 0.510 0.718
V 0.699 0.820 0.399
Fe 0.989 0.497 0.978
Tl 0.464 0.963 0.928
S 0.245 0.668 0.492
S 0.163 0.993 0.328
S 0.769 0.352 0.539
S 0.566 0.639 0.133
S 0.829 0.003 0.659
S 0.089 0.350 0.180
S 0.918 0.672 0.836
S 0.434 0.337 0.869
Mg 0.631 0.175 0.264

Model ii:
The following is a DFT calculation (PBE) of an optimized crystal structure of MgTlV4FeS8.

**V**: 268 Å³/cell

a b c (Å): 3.449 9.046 9.060
angles (deg): 104.40 100.98 90.01
Positions (direct):
S 0.166 0.986 0.331
S 0.430 0.356 0.858
S 0.091 0.336 0.181
S 0.756 0.351 0.512
S 0.921 0.653 0.842
S 0.571 0.664 0.141
S 0.827 0.018 0.652
S 0.238 0.659 0.476
Tl 0.509 0.931 0.016
Mg 0.956 0.184 0.910
V 0.339 0.516 0.677
V 0.702 0.827 0.403
V 0.289 0.178 0.577
V 0.649 0.499 0.298
Fe 0.021 0.515 0.040

Stability, lowest: model ii